Below is Be2Cr after structural relaxation, with properties calculated at the PBE level.

```
12
Lattice="4.1988 0.0000 0.0000 -2.0994 3.6363 0.0000 0.0000 0.0000 6.9109" Properties=species:S:1:pos:R:3 pbc="T T T"
Be 0.0000 0.0000 0.0000
Be 0.0000 0.0000 3.4555
Be 0.0000 1.2375 1.7277
Be -1.0277 3.0175 1.7277
Be 1.0717 0.6188 5.1832
Be 1.0277 3.0175 1.7277
Be 3.1271 0.6188 5.1832
Be 2.0994 2.3988 5.1832
Cr 0.0000 2.4242 3.8740
Cr 0.0000 2.4242 6.4924
Cr 2.0994 1.2121 0.4185
Cr 2.0994 1.2121 3.0370
```

Values from the calculation:
ΔH_f (0 K): -0.220 eV/atom
Calculated total energy: -17.793 eV/f.u.